*a*
{"formula": "Ba2MgVMoO6", "functional": "GGA+U", "state": "optimized geometry", "total_magnetization_mub_per_cell": 1.0, "lattice_angstrom": [[2.925, 1.689, 5.516], [-2.925, 1.689, 5.516], [0.000, -3.378, 5.516]], "species": ["Ba", "Ba", "Mg", "V", "Mo", "O", "O", "O", "O", "O", "O"], "fractional_positions": [[0.000, 0.000, 0.000], [0.461, 0.461, 0.461], [0.833, 0.833, 0.833], [0.206, 0.206, 0.206], [0.676, 0.676, 0.676], [0.434, 0.434, 0.934], [0.434, 0.934, 0.434], [0.448, 0.943, 0.943], [0.934, 0.434, 0.434], [0.943, 0.448, 0.943], [0.943, 0.943, 0.448]]}

---

*b*
{"formula": "Ba2MgVMoO6", "functional": "GGA+U", "state": "optimized geometry", "total_magnetization_mub_per_cell": 5.0, "lattice_angstrom": [[3.032, 1.751, 5.625], [-3.032, 1.751, 5.625], [0.000, -3.501, 5.625]], "species": ["Ba", "Ba", "Mg", "V", "Mo", "O", "O", "O", "O", "O", "O"], "fractional_positions": [[0.000, 0.000, 0.000], [0.425, 0.425, 0.425], [0.636, 0.636, 0.636], [0.806, 0.806, 0.806], [0.216, 0.216, 0.216], [0.440, 0.982, 0.982], [0.447, 0.447, 0.987], [0.447, 0.987, 0.447], [0.982, 0.440, 0.982], [0.982, 0.982, 0.440], [0.987, 0.447, 0.447]]}

---

According to the calculations, the structures order from most to least stable as *b*, *a*.